ErLuRh2 | the Materials Project database | GGA-PBE | optimized geometry; formation enthalpy at 0 K = -977 meV/atom; space-group type = Fm-3m, No. 225; total energy = -27.73 eV for the cell shown
1.0
0.000 3.388 3.388
3.388 0.000 3.388
3.388 3.388 0.000
Er Lu Rh
1 1 2
direct
0.000 0.000 0.000
0.500 0.500 0.500
0.250 0.250 0.250
0.750 0.750 0.750